No. 1
MgV2O2F6 | PBE+U | relaxed

Cell lengths 6.664, 6.664, 4.606 Å; angles 110.04, 110.04, 40.48 degrees
Atoms (fractional coordinates):
1 Mg 0.000 0.000 0.000
2 V 0.346 0.292 0.293
3 V 0.708 0.654 0.707
4 O 0.594 0.016 0.022
5 O 0.984 0.406 0.978
6 F 0.018 0.593 0.588
7 F 0.206 0.652 0.208
8 F 0.348 0.794 0.792
9 F 0.407 0.982 0.412
10 F 0.649 0.209 0.655
11 F 0.791 0.351 0.345

Calculated values
Size of the total moment = 2.00 μB per formula unit
E_form = -33.35 eV/f.u.
E_tot = -6.086 eV/atom

No. 2
MgV4O5F7 | PBE+U | relaxed

Cell lengths 5.304, 5.562, 7.224 Å; angles 93.94, 90.27, 91.38 degrees
Atoms (fractional coordinates):
1 Mg 0.000 0.000 0.000
2 V 0.022 0.441 0.818
3 V 0.032 0.412 0.323
4 V 0.501 0.893 0.792
5 V 0.533 0.900 0.294
6 O 0.110 0.407 0.552
7 O 0.189 0.734 0.864
8 O 0.455 0.900 0.555
9 O 0.638 0.908 0.039
10 O 0.953 0.376 0.050
11 F 0.199 0.085 0.239
12 F 0.312 0.201 0.857
13 F 0.335 0.591 0.250
14 F 0.710 0.589 0.754
15 F 0.718 0.219 0.346
16 F 0.838 0.100 0.758
17 F 0.855 0.712 0.336

Calculated values
Size of the total moment = 3.43 μB per formula unit
E_form = -47.29 eV/f.u.
E_tot = -6.465 eV/atom

No. 3
MgV4O6F6 | PBE+U | relaxed

Cell lengths 5.116, 5.198, 9.331 Å; angles 77.20, 76.97, 62.00 degrees
Atoms (fractional coordinates):
1 Mg 0.000 0.000 0.000
2 V 0.166 0.132 0.552
3 V 0.390 0.418 0.802
4 V 0.695 0.630 0.049
5 V 0.915 0.833 0.330
6 O 0.041 0.652 0.921
7 O 0.113 0.945 0.440
8 O 0.244 0.342 0.676
9 O 0.651 0.399 0.940
10 O 0.724 0.842 0.168
11 O 0.949 0.517 0.436
12 F 0.275 0.693 0.172
13 F 0.399 0.016 0.934
14 F 0.412 0.769 0.681
15 F 0.541 0.118 0.422
16 F 0.817 0.166 0.699
17 F 0.918 0.244 0.167

Calculated values
Size of the total moment = 4.00 μB per formula unit
E_form = -47.35 eV/f.u.
E_tot = -6.633 eV/atom

No. 4
MgV4O2F12 | PBE+U | relaxed

Cell lengths 5.345, 6.676, 8.615 Å; angles 69.61, 76.73, 83.31 degrees
Atoms (fractional coordinates):
1 Mg 0.000 0.000 0.000
2 V 0.258 0.194 0.204
3 V 0.356 0.972 0.673
4 V 0.778 0.443 0.071
5 V 0.870 0.242 0.533
6 O 0.032 0.100 0.721
7 O 0.917 0.287 0.304
8 F 0.126 0.300 0.984
9 F 0.151 0.932 0.206
10 F 0.303 0.712 0.693
11 F 0.313 0.094 0.441
12 F 0.370 0.933 0.897
13 F 0.405 0.464 0.177
14 F 0.515 0.274 0.617
15 F 0.656 0.139 0.107
16 F 0.708 0.518 0.862
17 F 0.729 0.949 0.588
18 F 0.873 0.720 0.055
19 F 0.967 0.502 0.507

Calculated values
Size of the total moment = 6.00 μB per formula unit
E_form = -57.23 eV/f.u.
E_tot = -6.017 eV/atom